## Pr2Al9Rh3 (r2SCAN)

Data for crystalline Pr2Al9Rh3 at its relaxed geometry.

The calculation puts the magnetization at 0.000 μB per atom. The value obtained for the total DFT energy (no corrections) is -14.559 eV/atom.

The structure belongs to space group Cmcm (No. 63); the cell edges are 13.081, 7.682 and 9.600 Å and the angles 90.00°, 90.00° and 90.00°. The inequivalent atoms are Pr at (0.161, 0.167, 0.250), Al at (0.000, 0.133, 0.750), Al at (0.000, 0.335, 0.041), Al at (0.103, 0.444, 0.750), Al at (0.166, 0.170, 0.573), Rh at (0.000, 0.000, 0.000) and Rh at (0.171, 0.500, 0.000).